[1]
{"formula": "CrCoH18C6N12", "functional": "PBE-GGA", "state": "optimized geometry", "sg": "R-3", "lattice": [[5.564, 3.213, 3.703], [-5.564, 3.213, 3.703], [0.000, -6.425, 3.703]], "species": ["Cr", "Co", "H", "H", "H", "H", "H", "H", "H", "H", "H", "H", "H", "H", "H", "H", "H", "H", "H", "H", "C", "C", "C", "C", "C", "C", "N", "N", "N", "N", "N", "N", "N", "N", "N", "N", "N", "N"], "fractional_positions": [[0.000, 0.000, 0.000], [0.500, 0.500, 0.500], [0.177, 0.439, 0.313], [0.202, 0.641, 0.443], [0.252, 0.294, 0.619], [0.294, 0.619, 0.252], [0.313, 0.177, 0.439], [0.359, 0.557, 0.798], [0.381, 0.748, 0.706], [0.439, 0.313, 0.177], [0.443, 0.202, 0.641], [0.557, 0.798, 0.359], [0.561, 0.687, 0.823], [0.619, 0.252, 0.294], [0.641, 0.443, 0.202], [0.687, 0.823, 0.561], [0.706, 0.381, 0.748], [0.748, 0.706, 0.381], [0.798, 0.359, 0.557], [0.823, 0.561, 0.687], [0.053, 0.872, 0.756], [0.128, 0.244, 0.947], [0.244, 0.947, 0.128], [0.756, 0.053, 0.872], [0.872, 0.756, 0.053], [0.947, 0.128, 0.244], [0.081, 0.792, 0.617], [0.208, 0.383, 0.919], [0.270, 0.555, 0.363], [0.363, 0.270, 0.555], [0.383, 0.919, 0.208], [0.445, 0.637, 0.730], [0.555, 0.363, 0.270], [0.617, 0.081, 0.792], [0.637, 0.730, 0.445], [0.730, 0.445, 0.637], [0.792, 0.617, 0.081], [0.919, 0.208, 0.383]]}

[2]
{"formula": "Ta6Cr3Co3C2", "functional": "PBE-GGA", "state": "optimized geometry", "sg": "Imm2", "lattice": [[-4.025, 4.041, 5.709], [4.025, -4.041, 5.709], [4.025, 4.041, -5.709]], "species": ["Ta", "Ta", "Ta", "Ta", "Ta", "Ta", "Ta", "Ta", "Ta", "Ta", "Ta", "Ta", "Cr", "Cr", "Cr", "Cr", "Cr", "Cr", "Co", "Co", "Co", "Co", "Co", "Co", "C", "C", "C", "C"], "fractional_positions": [[0.000, 0.000, 0.000], [0.000, 0.000, 0.611], [0.000, 0.389, 0.000], [0.250, 0.141, 0.500], [0.250, 0.749, 0.109], [0.250, 0.750, 0.500], [0.389, 0.000, 0.000], [0.389, 0.389, 0.389], [0.390, 0.390, 0.000], [0.640, 0.141, 0.891], [0.640, 0.749, 0.500], [0.642, 0.142, 0.500], [0.023, 0.369, 0.654], [0.324, 0.573, 0.751], [0.715, 0.369, 0.346], [0.820, 0.067, 0.247], [0.820, 0.573, 0.753], [0.822, 0.573, 0.249], [0.025, 0.370, 0.345], [0.025, 0.680, 0.655], [0.618, 0.464, 0.846], [0.618, 0.772, 0.154], [0.619, 0.771, 0.848], [0.923, 0.771, 0.152], [0.320, 0.069, 0.749], [0.320, 0.070, 0.250], [0.320, 0.571, 0.251], [0.820, 0.070, 0.750]]}

[3]
{"formula": "Cs2KCoC6N6", "functional": "PBE-GGA", "state": "optimized geometry", "sg": "P2_1/c", "lattice": [[7.743, 0.000, 0.000], [0.000, 8.165, 0.000], [-7.701, 0.000, 11.221]], "species": ["Cs", "Cs", "Cs", "Cs", "K", "K", "Co", "Co", "C", "C", "C", "C", "C", "C", "C", "C", "C", "C", "C", "C", "N", "N", "N", "N", "N", "N", "N", "N", "N", "N", "N", "N"], "fractional_positions": [[0.231, 0.065, 0.250], [0.231, 0.435, 0.750], [0.769, 0.565, 0.250], [0.769, 0.935, 0.750], [0.000, 0.000, 0.500], [0.000, 0.500, 0.000], [0.500, 0.000, 0.000], [0.500, 0.500, 0.500], [0.270, 0.123, 0.970], [0.270, 0.377, 0.470], [0.341, 0.693, 0.462], [0.341, 0.807, 0.962], [0.407, 0.021, 0.840], [0.407, 0.479, 0.340], [0.593, 0.521, 0.660], [0.593, 0.979, 0.160], [0.659, 0.193, 0.038], [0.659, 0.307, 0.538], [0.730, 0.623, 0.530], [0.730, 0.877, 0.030], [0.124, 0.200, 0.949], [0.124, 0.300, 0.449], [0.241, 0.687, 0.938], [0.241, 0.813, 0.438], [0.351, 0.036, 0.740], [0.351, 0.464, 0.240], [0.649, 0.536, 0.760], [0.649, 0.964, 0.260], [0.759, 0.187, 0.562], [0.759, 0.313, 0.062], [0.876, 0.700, 0.551], [0.876, 0.800, 0.051]]}

Per-record ΔH_f (0 K), eV/atom: -0.2380; -0.3334; -0.3132
Per-record total magnetization, μB/f.u.: 3.0; 0.0; 0.0